Entry 1:
The following is a GGA-PBE calculation of a relaxed structure of BaBiO3, from Materials Project.

Unit cell a=10.7967 b=6.2387 c=6.2876 alpha=90.00 beta=125.35 gamma=90.00
Space group C2/m (No. 12)
Unique sites:
Ba 0.2496 0.0000 0.2418
Bi 0.0000 0.0000 0.5000
Bi 0.0000 0.5000 0.0000
O 0.0415 0.2562 0.8004
O 0.2416 0.5000 0.3160

The value obtained for the energy of formation from the pure elements is -2233.4 meV/atom. The energy comes out at -119.03 eV per cell.


Entry 2:
The following is a GGA-PBE calculation of a relaxed structure of MgCu2Rh4S8, from Materials Project.

Unit cell a=7.3187 b=7.3193 c=10.3491 alpha=90.00 beta=90.00 gamma=90.00
Space group Imm2 (No. 44)
Unique sites:
Mg 0.0000 0.0000 0.0000
Cu 0.0000 0.0000 0.4990
Cu 0.0000 0.5000 0.2500
Rh 0.0000 0.2681 0.8653
Rh 0.2312 0.5000 0.6337
S 0.0000 0.2505 0.1243
S 0.0000 0.2784 0.6388
S 0.2210 0.5000 0.8601
S 0.2495 0.0000 0.8744

The value obtained for the energy of formation from the pure elements is -494.1 meV/atom. As for the excess energy over the best structure of this formula in the dataset: 254.9 meV/atom. The energy comes out at -151.47 eV per cell.


Entry 3:
The following is a GGA-PBE calculation of a relaxed structure of NdCdPd, from Materials Project.

Unit cell a=7.7552 b=7.7552 c=4.0369 alpha=90.00 beta=90.00 gamma=120.00
Space group P-62m (No. 189)
Unique sites:
Nd 0.0000 0.5926 0.0000
Cd 0.0000 0.2518 0.5000
Pd 0.0000 0.0000 0.0000
Pd 0.3333 0.6667 0.5000

The value obtained for the energy of formation from the pure elements is -668.4 meV/atom. The energy comes out at -38.63 eV per cell.


Entry 4:
The following is a GGA-PBE calculation of a relaxed structure of Cu41Sn11, from Materials Project.

Unit cell a=18.0105 b=18.0105 c=18.0105 alpha=90.00 beta=90.00 gamma=90.00
Space group F-43m (No. 216)
Unique sites:
Cu 0.0000 0.0000 0.1743
Cu 0.0000 0.0000 0.3225
Cu 0.0189 0.1562 0.3438
Cu 0.0288 0.1456 0.8544
Cu 0.0496 0.0496 0.9504
Cu 0.0570 0.0570 0.4430
Cu 0.0764 0.2500 0.2500
Cu 0.0828 0.0828 0.0828
Cu 0.0911 0.0911 0.7377
Cu 0.1655 0.1655 0.3346
Cu 0.1662 0.1662 0.8338
Cu 0.1946 0.1946 0.6946
Cu 0.1995 0.1995 0.1995
Sn 0.0685 0.2500 0.7500
Sn 0.0880 0.0880 0.5880
Sn 0.0914 0.0914 0.2323

The value obtained for the energy of formation from the pure elements is 17.6 meV/atom. The energy comes out at -1690.07 eV per cell.


Entry 5:
The following is a GGA-PBE calculation of a relaxed structure of Np2Te3, from Materials Project.

Unit cell a=9.2609 b=9.2609 c=28.0189 alpha=90.00 beta=90.00 gamma=90.00
Space group I-42d (No. 122)
Unique sites:
Np 0.0000 0.0000 0.1677
Np 0.1199 0.7500 0.6250
Np 0.1278 0.7474 0.9585
Te 0.0755 0.6758 0.8510
Te 0.0768 0.6737 0.1831
Te 0.0778 0.6747 0.5160

The value obtained for the energy of formation from the pure elements is -560.3 meV/atom. The energy comes out at -589.78 eV per cell.


Entry 6:
The following is a GGA-PBE calculation of a relaxed structure of ScSnAu, from Materials Project.

Unit cell a=6.5218 b=6.5218 c=6.5218 alpha=90.00 beta=90.00 gamma=90.00
Space group F-43m (No. 216)
Unique sites:
Sc 0.0000 0.0000 0.0000
Sn 0.0000 0.0000 0.5000
Au 0.2500 0.2500 0.2500

The value obtained for the energy of formation from the pure elements is -760.8 meV/atom. The calculation puts the largest piezoelectric modulus at 0.3 C/m². The energy comes out at -63.59 eV per cell.